Material: ZnS
Method: DFT, r2SCAN
State: relaxed

Properties
The raw total energy is -9.434 eV per atom. Its symmetry is P3m1.

Structure (POSCAR):
```
ZnS
1.0
3.807 0.000 0.000
-1.904 3.297 0.000
0.000 0.000 62.288
Zn S
20 20
Direct
0.000 0.000 0.000
0.000 0.000 0.100
0.000 0.000 0.250
0.000 0.000 0.350
0.000 0.000 0.500
0.000 0.000 0.600
0.000 0.000 0.800
0.333 0.667 0.050
0.333 0.667 0.200
0.333 0.667 0.400
0.333 0.667 0.550
0.333 0.667 0.700
0.333 0.667 0.900
0.667 0.333 0.150
0.667 0.333 0.300
0.667 0.333 0.450
0.667 0.333 0.650
0.667 0.333 0.750
0.667 0.333 0.850
0.667 0.333 0.950
0.000 0.000 0.037
0.000 0.000 0.138
0.000 0.000 0.287
0.000 0.000 0.388
0.000 0.000 0.537
0.000 0.000 0.637
0.000 0.000 0.838
0.333 0.667 0.088
0.333 0.667 0.237
0.333 0.667 0.437
0.333 0.667 0.588
0.333 0.667 0.738
0.333 0.667 0.938
0.667 0.333 0.187
0.667 0.333 0.338
0.667 0.333 0.487
0.667 0.333 0.687
0.667 0.333 0.787
0.667 0.333 0.887
0.667 0.333 0.987
```

---

Material: ZnS
Method: DFT, r2SCAN
State: relaxed

Properties
The raw total energy is -9.433 eV per atom. Its symmetry is R3m.

Structure (POSCAR):
```
ZnS
1.0
1.904 1.099 15.585
-1.904 1.099 15.585
0.000 -2.198 15.585
Zn S
5 5
Direct
0.000 0.000 0.000
0.133 0.133 0.133
0.267 0.267 0.267
0.400 0.400 0.400
0.533 0.533 0.533
0.050 0.050 0.050
0.183 0.183 0.183
0.317 0.317 0.317
0.450 0.450 0.450
0.583 0.583 0.583
```

---

Material: ZnS
Method: DFT, r2SCAN
State: relaxed

Properties
The raw total energy is -9.435 eV per atom. Its symmetry is P3m1.

Structure (POSCAR):
```
ZnS
1.0
3.808 0.000 0.000
-1.904 3.298 0.000
0.000 0.000 31.136
Zn S
10 10
Direct
0.000 0.000 0.000
0.000 0.000 0.200
0.000 0.000 0.400
0.000 0.000 0.700
0.333 0.667 0.100
0.333 0.667 0.500
0.333 0.667 0.800
0.667 0.333 0.300
0.667 0.333 0.600
0.667 0.333 0.900
0.000 0.000 0.075
0.000 0.000 0.275
0.000 0.000 0.475
0.000 0.000 0.775
0.333 0.667 0.175
0.333 0.667 0.575
0.333 0.667 0.875
0.667 0.333 0.375
0.667 0.333 0.675
0.667 0.333 0.975
```

---

Material: ZnS
Method: DFT, r2SCAN
State: relaxed

Properties
The raw total energy is -9.434 eV per atom. Its symmetry is P3m1.

Structure (POSCAR):
```
ZnS
1.0
3.806 0.000 0.000
-1.903 3.296 0.000
0.000 0.000 24.911
Zn S
8 8
Direct
0.000 0.000 0.000
0.000 0.000 0.250
0.000 0.000 0.500
0.333 0.667 0.625
0.333 0.667 0.875
0.667 0.333 0.125
0.667 0.333 0.375
0.667 0.333 0.750
0.000 0.000 0.094
0.000 0.000 0.344
0.000 0.000 0.594
0.333 0.667 0.719
0.333 0.667 0.969
0.667 0.333 0.219
0.667 0.333 0.469
0.667 0.333 0.844
```

---

Material: ZnS
Method: DFT, r2SCAN
State: relaxed

Properties
The raw total energy is -9.434 eV per atom. Its symmetry is P3m1.

Structure (POSCAR):
```
ZnS
1.0
3.805 0.000 0.000
-1.903 3.295 0.000
0.000 0.000 24.916
Zn S
8 8
Direct
0.000 0.000 0.000
0.000 0.000 0.250
0.000 0.000 0.625
0.333 0.667 0.125
0.333 0.667 0.375
0.333 0.667 0.750
0.667 0.333 0.500
0.667 0.333 0.875
0.000 0.000 0.094
0.000 0.000 0.344
0.000 0.000 0.719
0.333 0.667 0.219
0.333 0.667 0.469
0.333 0.667 0.844
0.667 0.333 0.594
0.667 0.333 0.969
```

---

Material: ZnS
Method: DFT, r2SCAN
State: relaxed

Properties
The raw total energy is -9.435 eV per atom. Its symmetry is P3m1.

Structure (POSCAR):
```
ZnS
1.0
3.808 0.000 0.000
-1.904 3.298 0.000
0.000 0.000 74.723
Zn S
24 24
Direct
0.000 0.000 0.000
0.000 0.000 0.083
0.000 0.000 0.208
0.000 0.000 0.333
0.000 0.000 0.458
0.000 0.000 0.583
0.000 0.000 0.667
0.000 0.000 0.792
0.000 0.000 0.875
0.333 0.667 0.042
0.333 0.667 0.167
0.333 0.667 0.292
0.333 0.667 0.375
0.333 0.667 0.500
0.333 0.667 0.625
0.333 0.667 0.750
0.333 0.667 0.917
0.667 0.333 0.125
0.667 0.333 0.250
0.667 0.333 0.417
0.667 0.333 0.542
0.667 0.333 0.708
0.667 0.333 0.833
0.667 0.333 0.958
0.000 0.000 0.031
0.000 0.000 0.115
0.000 0.000 0.240
0.000 0.000 0.365
0.000 0.000 0.490
0.000 0.000 0.615
0.000 0.000 0.698
0.000 0.000 0.823
0.000 0.000 0.906
0.333 0.667 0.073
0.333 0.667 0.198
0.333 0.667 0.323
0.333 0.667 0.406
0.333 0.667 0.531
0.333 0.667 0.656
0.333 0.667 0.781
0.333 0.667 0.948
0.667 0.333 0.156
0.667 0.333 0.281
0.667 0.333 0.448
0.667 0.333 0.573
0.667 0.333 0.740
0.667 0.333 0.865
0.667 0.333 0.990
```

---

Material: ZnS
Method: DFT, r2SCAN
State: relaxed

Properties
The raw total energy is -9.435 eV per atom. Its symmetry is P3m1.

Structure (POSCAR):
```
ZnS
1.0
3.810 0.000 0.000
-1.905 3.299 0.000
0.000 0.000 87.169
Zn S
28 28
Direct
0.000 0.000 0.000
0.000 0.000 0.071
0.000 0.000 0.179
0.000 0.000 0.250
0.000 0.000 0.357
0.000 0.000 0.464
0.000 0.000 0.607
0.000 0.000 0.714
0.000 0.000 0.821
0.000 0.000 0.893
0.333 0.667 0.107
0.333 0.667 0.214
0.333 0.667 0.321
0.333 0.667 0.429
0.333 0.667 0.536
0.333 0.667 0.643
0.333 0.667 0.750
0.333 0.667 0.857
0.333 0.667 0.964
0.667 0.333 0.036
0.667 0.333 0.143
0.667 0.333 0.286
0.667 0.333 0.393
0.667 0.333 0.500
0.667 0.333 0.571
0.667 0.333 0.679
0.667 0.333 0.786
0.667 0.333 0.929
0.000 0.000 0.027
0.000 0.000 0.098
0.000 0.000 0.205
0.000 0.000 0.277
0.000 0.000 0.384
0.000 0.000 0.491
0.000 0.000 0.634
0.000 0.000 0.741
0.000 0.000 0.848
0.000 0.000 0.920
0.333 0.667 0.134
0.333 0.667 0.241
0.333 0.667 0.348
0.333 0.667 0.455
0.333 0.667 0.563
0.333 0.667 0.670
0.333 0.667 0.777
0.333 0.667 0.884
0.333 0.667 0.991
0.667 0.333 0.063
0.667 0.333 0.170
0.667 0.333 0.313
0.667 0.333 0.420
0.667 0.333 0.527
0.667 0.333 0.598
0.667 0.333 0.705
0.667 0.333 0.812
0.667 0.333 0.955
```

---

Material: ZnS
Method: DFT, r2SCAN
State: relaxed

Properties
The raw total energy is -9.434 eV per atom. Its symmetry is P3m1.

Structure (POSCAR):
```
ZnS
1.0
3.809 0.000 0.000
-1.905 3.299 0.000
0.000 0.000 87.240
Zn S
28 28
Direct
0.000 0.000 0.000
0.000 0.000 0.071
0.000 0.000 0.143
0.000 0.000 0.286
0.000 0.000 0.357
0.000 0.000 0.500
0.000 0.000 0.571
0.000 0.000 0.714
0.000 0.000 0.786
0.000 0.000 0.928
0.333 0.667 0.036
0.333 0.667 0.179
0.333 0.667 0.250
0.333 0.667 0.393
0.333 0.667 0.464
0.333 0.667 0.607
0.333 0.667 0.679
0.333 0.667 0.821
0.333 0.667 0.893
0.667 0.333 0.107
0.667 0.333 0.214
0.667 0.333 0.321
0.667 0.333 0.429
0.667 0.333 0.536
0.667 0.333 0.643
0.667 0.333 0.750
0.667 0.333 0.857
0.667 0.333 0.964
0.000 0.000 0.027
0.000 0.000 0.098
0.000 0.000 0.170
0.000 0.000 0.312
0.000 0.000 0.384
0.000 0.000 0.527
0.000 0.000 0.598
0.000 0.000 0.741
0.000 0.000 0.812
0.000 0.000 0.955
0.333 0.667 0.062
0.333 0.667 0.205
0.333 0.667 0.277
0.333 0.667 0.420
0.333 0.667 0.491
0.333 0.667 0.634
0.333 0.667 0.705
0.333 0.667 0.848
0.333 0.667 0.920
0.667 0.333 0.134
0.667 0.333 0.241
0.667 0.333 0.348
0.667 0.333 0.455
0.667 0.333 0.562
0.667 0.333 0.670
0.667 0.333 0.777
0.667 0.333 0.884
0.667 0.333 0.991
```

---

no.,E_form (eV/atom)
1,-0.96
2,-0.96
3,-0.96
4,-0.96
5,-0.96
6,-0.96
7,-0.96
8,-0.96